# Li3Fe4B4O12 | the Materials Project database | PBE+U | relaxed
data_Li3Fe4B4O12
_symmetry_space_group_name_H-M 'P 1'
_symmetry_Int_Tables_number 1
_cell_length_a 5.257
_cell_length_b 9.095
_cell_length_c 10.204
_cell_angle_alpha 89.98
_cell_angle_beta 88.51
_cell_angle_gamma 89.63
loop_
_symmetry_equiv_pos_as_xyz
'x,y,z'
loop_
_atom_site_label
_atom_site_type_symbol
_atom_site_fract_x
_atom_site_fract_y
_atom_site_fract_z
_atom_site_occupancy
Li1 Li 0.000 0.000 0.000 1
Li2 Li 0.002 0.011 0.489 1
Li3 Li 0.181 0.518 0.742 1
Li4 Li 0.192 0.495 0.250 1
Li5 Li 0.510 0.508 0.984 1
Li6 Li 0.679 0.020 0.738 1
Fe1 Fe 0.005 0.343 0.962 1
Fe2 Fe 0.006 0.666 0.468 1
Fe3 Fe 0.184 0.849 0.712 1
Fe4 Fe 0.188 0.161 0.210 1
Fe5 Fe 0.509 0.180 0.456 1
Fe6 Fe 0.510 0.847 0.961 1
Fe7 Fe 0.677 0.352 0.709 1
Fe8 Fe 0.688 0.681 0.218 1
B1 B 0.010 0.332 0.456 1
B2 B 0.013 0.677 0.960 1
B3 B 0.175 0.179 0.704 1
B4 B 0.178 0.831 0.206 1
B5 B 0.504 0.851 0.455 1
B6 B 0.509 0.175 0.958 1
B7 B 0.680 0.678 0.713 1
B8 B 0.686 0.351 0.214 1
O1 O 0.033 0.052 0.694 1
O2 O 0.048 0.961 0.198 1
O3 O 0.055 0.699 0.244 1
O4 O 0.062 0.310 0.746 1
O5 O 0.123 0.811 0.926 1
O6 O 0.126 0.462 0.438 1
O7 O 0.142 0.198 0.428 1
O8 O 0.150 0.547 0.945 1
O9 O 0.247 0.846 0.492 1
O10 O 0.253 0.168 0.998 1
O11 O 0.434 0.176 0.665 1
O12 O 0.434 0.822 0.169 1
O13 O 0.538 0.553 0.720 1
O14 O 0.553 0.230 0.261 1
O15 O 0.553 0.484 0.199 1
O16 O 0.567 0.814 0.744 1
O17 O 0.621 0.311 0.931 1
O18 O 0.635 0.726 0.410 1
O19 O 0.638 0.982 0.464 1
O20 O 0.653 0.048 0.940 1
O21 O 0.760 0.320 0.503 1
O22 O 0.760 0.674 0.009 1
O23 O 0.940 0.672 0.677 1
O24 O 0.945 0.344 0.179 1
# DFT formation energy: -2.301 eV per atom
# Final energy: -322.7 eV per cell
# M_tot: 17.00 μB/f.u.
# Polymorph energy (0 for the lowest one): 4 meV per atom


# Li2V3SnO8 | the Materials Project database | PBE+U | relaxed
data_Li2V3SnO8
_symmetry_space_group_name_H-M 'P 1'
_symmetry_Int_Tables_number 1
_cell_length_a 6.064
_cell_length_b 6.067
_cell_length_c 8.520
_cell_angle_alpha 89.45
_cell_angle_beta 89.99
_cell_angle_gamma 89.27
loop_
_symmetry_equiv_pos_as_xyz
'x,y,z'
loop_
_atom_site_label
_atom_site_type_symbol
_atom_site_fract_x
_atom_site_fract_y
_atom_site_fract_z
_atom_site_occupancy
Li1 Li 0.000 0.000 0.000 1
Li2 Li 0.009 0.766 0.634 1
Li3 Li 0.499 0.501 0.500 1
Li4 Li 0.510 0.265 0.134 1
V1 V 0.002 0.289 0.638 1
V2 V 0.246 0.517 0.875 1
V3 V 0.267 0.017 0.377 1
V4 V 0.503 0.788 0.138 1
V5 V 0.746 0.017 0.375 1
V6 V 0.767 0.516 0.877 1
Sn1 Sn 0.007 0.530 0.250 1
Sn2 Sn 0.507 0.030 0.750 1
O1 O 0.002 0.728 0.877 1
O2 O 0.005 0.258 0.390 1
O3 O 0.009 0.274 0.866 1
O4 O 0.010 0.794 0.386 1
O5 O 0.233 0.024 0.619 1
O6 O 0.237 0.487 0.643 1
O7 O 0.276 0.986 0.140 1
O8 O 0.279 0.524 0.118 1
O9 O 0.502 0.229 0.377 1
O10 O 0.505 0.758 0.890 1
O11 O 0.509 0.775 0.366 1
O12 O 0.510 0.294 0.886 1
O13 O 0.733 0.523 0.119 1
O14 O 0.738 0.986 0.143 1
O15 O 0.776 0.486 0.639 1
O16 O 0.778 0.024 0.618 1
# DFT formation energy: -2.371 eV per atom
# Final energy: -194.5 eV per cell
# M_tot: 0.00 μB/f.u.
# Polymorph energy (0 for the lowest one): 58 meV per atom


# CaMn2P4O14 | the Materials Project database | PBE+U | relaxed
data_CaMn2P4O14
_symmetry_space_group_name_H-M 'P 1'
_symmetry_Int_Tables_number 1
_cell_length_a 5.334
_cell_length_b 6.091
_cell_length_c 10.359
_cell_angle_alpha 75.15
_cell_angle_beta 85.89
_cell_angle_gamma 75.90
loop_
_symmetry_equiv_pos_as_xyz
'x,y,z'
loop_
_atom_site_label
_atom_site_type_symbol
_atom_site_fract_x
_atom_site_fract_y
_atom_site_fract_z
_atom_site_occupancy
Ca1 Ca 0.000 0.000 0.000 1
Mn1 Mn 0.078 0.953 0.638 1
Mn2 Mn 0.123 0.585 0.282 1
P1 P 0.221 0.448 0.592 1
P2 P 0.512 0.060 0.782 1
P3 P 0.677 0.486 0.127 1
P4 P 0.953 0.110 0.332 1
O1 O 0.032 0.932 0.245 1
O2 O 0.041 0.284 0.599 1
O3 O 0.102 0.627 0.672 1
O4 O 0.161 0.252 0.319 1
O5 O 0.289 0.562 0.447 1
O6 O 0.359 0.111 0.903 1
O7 O 0.397 0.623 0.124 1
O8 O 0.409 0.891 0.721 1
O9 O 0.488 0.300 0.662 1
O10 O 0.693 0.291 0.272 1
O11 O 0.771 0.357 0.021 1
O12 O 0.806 0.977 0.804 1
O13 O 0.860 0.645 0.145 1
O14 O 0.887 0.994 0.474 1
# DFT formation energy: -2.651 eV per atom
# Final energy: -154.0 eV per cell
# M_tot: 8.00 μB/f.u.
# Polymorph energy (0 for the lowest one): 2 meV per atom


# LiCoC2O6 | the Materials Project database | PBE+U | relaxed
data_LiCoC2O6
_symmetry_space_group_name_H-M 'P 1'
_symmetry_Int_Tables_number 1
_cell_length_a 6.531
_cell_length_b 7.690
_cell_length_c 10.475
_cell_angle_alpha 96.35
_cell_angle_beta 97.03
_cell_angle_gamma 93.85
loop_
_symmetry_equiv_pos_as_xyz
'x,y,z'
loop_
_atom_site_label
_atom_site_type_symbol
_atom_site_fract_x
_atom_site_fract_y
_atom_site_fract_z
_atom_site_occupancy
Li1 Li 0.000 0.000 0.000 1
Li2 Li 0.194 0.493 0.620 1
Li3 Li 0.423 0.989 0.530 1
Li4 Li 0.714 0.477 0.107 1
Co1 Co 0.274 0.309 0.255 1
Co2 Co 0.381 0.811 0.929 1
Co3 Co 0.801 0.308 0.763 1
Co4 Co 0.849 0.806 0.406 1
C1 C 0.010 0.103 0.578 1
C2 C 0.164 0.015 0.292 1
C3 C 0.439 0.100 0.063 1
C4 C 0.475 0.592 0.426 1
C5 C 0.482 0.514 0.873 1
C6 C 0.662 0.015 0.785 1
C7 C 0.967 0.514 0.368 1
C8 C 0.998 0.596 0.934 1
O1 O 0.054 0.370 0.350 1
O2 O 0.074 0.869 0.309 1
O3 O 0.096 0.757 0.956 1
O4 O 0.102 0.094 0.190 1
O5 O 0.165 0.023 0.608 1
O6 O 0.294 0.068 0.966 1
O7 O 0.320 0.097 0.367 1
O8 O 0.345 0.575 0.796 1
O9 O 0.423 0.527 0.304 1
O10 O 0.436 0.518 0.520 1
O11 O 0.467 0.254 0.135 1
O12 O 0.538 0.608 0.986 1
O13 O 0.556 0.975 0.085 1
O14 O 0.560 0.368 0.845 1
O15 O 0.566 0.873 0.805 1
O16 O 0.575 0.753 0.441 1
O17 O 0.616 0.088 0.681 1
O18 O 0.818 0.098 0.865 1
O19 O 0.842 0.572 0.281 1
O20 O 0.860 0.042 0.486 1
O21 O 0.925 0.542 0.813 1
O22 O 0.976 0.506 0.025 1
O23 O 0.989 0.262 0.640 1
O24 O 0.996 0.609 0.482 1
# DFT formation energy: -1.718 eV per atom
# Final energy: -274.3 eV per cell
# M_tot: 2.50 μB/f.u.
# Polymorph energy (0 for the lowest one): 51 meV per atom


Which formula does entry 3 have?
CaMn2P4O14


Among the records above, which one has the highest polymorph energy (0 for the lowest one)?
Li2V3SnO8